Entry 1:
Compound: Na2UI6
Source: the Materials Project database
Functional: PBE-GGA
Structure: relaxed

Calculated values
The formation energy comes out at -1.23 eV per atom. The total DFT energy (no corrections) is -3.540 eV/atom.

abc: 8.3363 9.1389 25.5053
angles: 88.03 82.70 63.23
Closest atoms and distances in Å follow each position.
Space group P1 (No. 1)
Asymmetric unit:
1 Na 0.0000 0.0000 0.0000 x1  6 I 3.23-3.49
2 Na 0.0012 0.5013 0.5009 x1  6 I 3.26-3.48
3 Na 0.2304 0.7530 0.7980 x1  6 I 3.23-3.47
4 Na 0.2358 0.2452 0.2978 x1  6 I 3.23-3.47
5 Na 0.5018 0.2510 0.7513 x1  6 I 3.28-3.49
6 Na 0.7285 0.5063 0.0466 x1  6 I 3.20-3.49
7 Na 0.7305 0.0035 0.5477 x1  6 I 3.23-3.48
8 Na 0.7608 0.2684 0.2067 x1  6 I 3.23-3.49
9 U 0.2486 0.8826 0.6249 x1  6 I 2.98-3.10
10 U 0.2536 0.3855 0.1252 x1  6 I 3.00-3.11
11 U 0.7451 0.1320 0.3768 x1  6 I 2.92-3.07
12 U 0.7482 0.6331 0.8752 x1  6 I 2.99-3.08
13 I 0.0310 0.9968 0.2797 x1  1 U 3.07, 1 Na 3.23
14 I 0.0377 0.4946 0.7801 x1  1 U 3.05
15 I 0.0562 0.1816 0.1011 x1  1 U 3.11, 3 Na 3.26-3.40
16 I 0.0608 0.6863 0.6006 x1  1 U 2.98, 1 Na 3.31
17 I 0.4257 0.0925 0.6496 x1  1 U 3.02, 2 Na 3.24-3.28
18 I 0.4386 0.5844 0.1514 x1  1 U 3.00, 2 Na 3.23-3.35
19 I 0.4652 0.2814 0.4747 x1  1 U 3.07, 1 Na 3.23
20 I 0.4675 0.7783 0.9736 x1  1 U 3.08, 1 Na 3.20
21 I 0.4892 0.5985 0.6869 x1  1 U 3.01, 1 Na 3.27
22 I 0.4929 0.9205 0.8178 x1  1 U 3.01, 1 Na 3.28
23 I 0.4956 0.4176 0.3170 x1  1 U 3.02, 2 Na 3.26-3.29
24 I 0.4989 0.1005 0.1859 x1  1 U 3.01, 2 Na 3.28
25 I 0.5384 0.2435 0.0292 x1  1 U 3.05
26 I 0.5397 0.7427 0.5297 x1  1 U 3.06
27 I 0.5597 0.4370 0.8502 x1  1 U 2.99, 2 Na 3.29-3.34
28 I 0.5648 0.9378 0.3519 x1  1 U 2.92
29 I 0.9264 0.3418 0.3997 x1  1 U 3.04, 2 Na 3.26
30 I 0.9262 0.8423 0.8997 x1  1 U 3.02, 2 Na 3.23
31 I 0.9674 0.0285 0.7242 x1  1 U 3.10, 2 Na 3.23-3.46
32 I 0.9713 0.5152 0.2231 x1  1 U 3.06, 1 Na 3.23
33 I 0.9902 0.3491 0.9370 x1  1 U 3.02, 1 Na 3.25
34 I 0.9918 0.8472 0.4373 x1  1 U 3.02, 1 Na 3.26
35 I 0.9931 0.6714 0.0681 x1  1 U 3.02, 1 Na 3.29
36 I 0.9936 0.1704 0.5679 x1  1 U 3.01, 1 Na 3.28

Entry 2:
Compound: Cs4GeO4
Source: the Materials Project database
Functional: PBE-GGA
Structure: relaxed

Calculated values
The formation energy comes out at -1.86 eV per atom. The total DFT energy (no corrections) is -4.668 eV/atom.

abc: 11.7116 7.2412 11.5444
angles: 90.00 111.85 90.00
Closest atoms and distances in Å follow each position.
Space group P2_1/c (No. 14)
Asymmetric unit:
1 Cs 0.0637 0.0897 0.2029 x4  4 O 2.95-3.30
2 Cs 0.1540 0.6164 0.0830 x4  4 O 2.97-3.07
3 Cs 0.3687 0.6622 0.8925 x4  4 O 2.92-3.03
4 Cs 0.4233 0.1721 0.7922 x4  5 O 3.01-3.21
5 Ge 0.2421 0.1257 0.9914 x4  4 O 1.81-1.82
6 O 0.0962 0.2282 0.9764 x4  1 Ge 1.81
7 O 0.2178 0.5044 0.3500 x4  1 Ge 1.81
8 O 0.3006 0.5211 0.6282 x4  1 Ge 1.81
9 O 0.3528 0.1909 0.5084 x4  1 Ge 1.82

Entry 3:
Compound: Ho2AlSi2
Source: the Materials Project database
Functional: PBE-GGA
Structure: relaxed

Calculated values
The formation energy comes out at -0.69 eV per atom. The total DFT energy (no corrections) is -5.472 eV/atom.

abc: 4.0468 5.8102 8.6284
angles: 90.00 90.00 90.00
Closest atoms and distances in Å follow each position.
Space group Immm (No. 71)
Asymmetric unit:
1 Ho 0.0000 0.0000 0.2111 x4  6 Si 2.99-3.01, 2 Al 3.21
2 Al 0.0000 0.5000 0.0000 x2  4 Si 2.63
3 Si 0.0000 0.2891 0.5000 x4  1 Si 2.45, 2 Al 2.63

Entry 4:
Compound: Ca10Si5Cl2O20
Source: the Materials Project database
Functional: PBE-GGA
Structure: relaxed

Calculated values
The formation energy comes out at -3.24 eV per atom. The total DFT energy (no corrections) is -6.921 eV/atom.

abc: 7.7290 18.7723 15.6335
angles: 90.00 103.81 90.00
Closest atoms and distances in Å follow each position.
Space group C2/c (No. 15)
Asymmetric unit:
1 Ca 0.0716 0.0531 0.3824 x8  4 O 2.32-2.44
2 Ca 0.0757 0.4566 0.9035 x8  4 O 2.32-2.43
3 Ca 0.1658 0.2643 0.6052 x8  6 O 2.33-2.56
4 Ca 0.1783 0.2271 0.0998 x8  6 O 2.29-2.46
5 Ca 0.2405 0.3969 0.2496 x8  3 O 2.29-2.39
6 Si 0.0000 0.2225 0.2500 x4  4 O 1.66-1.67
7 Si 0.0558 0.1160 0.9359 x8  4 O 1.63-1.69
8 Si 0.1316 0.3823 0.4385 x8  4 O 1.62-1.69
9 Cl 0.2408 0.4531 0.7545 x8  5 Ca 2.82-3.03
10 O 0.0219 0.4223 0.3493 x8  1 Si 1.63
11 O 0.0499 0.3380 0.8603 x8  3 Ca 2.32-2.38
12 O 0.0528 0.1743 0.3412 x8  1 Si 1.66
13 O 0.0744 0.3020 0.4588 x8  1 Si 1.62
14 O 0.0776 0.0734 0.8484 x8  1 Si 1.63
15 O 0.1256 0.0726 0.0280 x8  1 Si 1.63
16 O 0.1260 0.1983 0.9444 x8  1 Si 1.63
17 O 0.1492 0.4376 0.5214 x8  1 Si 1.64
18 O 0.1673 0.1291 0.5844 x8  2 Si 1.69
19 O 0.1776 0.2722 0.2473 x8  1 Si 1.67